A plane-wave DFT calculation with meta-GGA r2SCAN was carried out for a relaxed structure of K3W2Cl9.

a = 7.232 Å, b = 7.231 Å, c = 16.401 Å
α = 90.00°, β = 89.99°, γ = 119.99°
Atoms (fractional coordinates):
K (0.001, 0.000, 0.250)
K (0.001, 0.000, 0.750)
K (0.333, 0.667, 0.569)
K (0.666, 0.333, 0.070)
K (0.333, 0.667, 0.930)
K (0.666, 0.333, 0.430)
W (0.333, 0.667, 0.326)
W (0.667, 0.333, 0.826)
W (0.667, 0.333, 0.674)
W (0.334, 0.667, 0.174)
Cl (0.119, 0.354, 0.093)
Cl (0.765, 0.119, 0.593)
Cl (0.354, 0.235, 0.593)
Cl (0.646, 0.765, 0.093)
Cl (0.235, 0.881, 0.093)
Cl (0.881, 0.646, 0.593)
Cl (0.881, 0.646, 0.907)
Cl (0.235, 0.881, 0.407)
Cl (0.646, 0.765, 0.407)
Cl (0.354, 0.235, 0.907)
Cl (0.443, 0.434, 0.250)
Cl (0.009, 0.442, 0.750)
Cl (0.434, 0.991, 0.750)
Cl (0.567, 0.009, 0.250)
Cl (0.991, 0.558, 0.250)
Cl (0.559, 0.567, 0.750)
Cl (0.119, 0.354, 0.407)
Cl (0.765, 0.119, 0.907)

energy of formation = -1.4766 eV per atom